Below is a geometry-optimized KCrMo2O8 structure, with properties calculated at the meta-GGA r2SCAN level.

Cell lengths 5.6713, 8.9968, 9.1939 Å; angles 61.95, 72.04, 89.99 degrees
Last column: nearest neighbours and their distance in Å.
Fractional coordinates of all 24 atoms:
K 0.1788 0.2502 0.9998  8 O 2.71-2.99
K 0.8212 0.7498 0.0002  8 O 2.71-2.99
Cr 0.0000 0.0000 0.5000  6 O 1.94-1.98
Cr 0.5000 0.5000 0.5000  6 O 1.94-1.98
Mo 0.1234 0.7344 0.2994  4 O 1.72-1.80
Mo 0.4229 0.7658 0.7008  4 O 1.72-1.80
Mo 0.5771 0.2342 0.2992  4 O 1.72-1.80
Mo 0.8766 0.2656 0.7006  4 O 1.72-1.80
O 0.0567 0.8169 0.4447  1 Mo 1.76, 1 Cr 1.94
O 0.1375 0.4206 0.6429  1 Mo 1.80, 1 Cr 1.98
O 0.1726 0.8961 0.0897  1 Mo 1.72
O 0.2199 0.9208 0.6428  1 Mo 1.80, 1 Cr 1.98
O 0.2623 0.6044 0.9107  1 Mo 1.72
O 0.2978 0.1461 0.2935  1 Mo 1.80, 1 Cr 1.97
O 0.4086 0.6463 0.2936  1 Mo 1.80, 1 Cr 1.96
O 0.4990 0.3174 0.4439  1 Mo 1.76, 1 Cr 1.94
O 0.5010 0.6826 0.5561  1 Mo 1.76, 1 Cr 1.94
O 0.5914 0.3537 0.7064  1 Mo 1.80, 1 Cr 1.96
O 0.7022 0.8539 0.7065  1 Mo 1.80, 1 Cr 1.97
O 0.7377 0.3956 0.0893  1 Mo 1.72
O 0.7801 0.0792 0.3572  1 Mo 1.80, 1 Cr 1.98
O 0.8274 0.1039 0.9103  1 Mo 1.72
O 0.8625 0.5794 0.3571  1 Mo 1.80, 1 Cr 1.98
O 0.9433 0.1831 0.5553  1 Mo 1.76, 1 Cr 1.94

* DFT total energy: -296.69 eV/cell
* mass density: 3.52 g/cm3